1.
Computed, not measured: a geometry-optimized RuN5Cl3 structure at the PBE level of DFT.

Computed properties:
Total magnetic moment, μB/cell: 2.94

Lattice parameters (Å, degrees): 5.9979 7.8807 16.7687 90.00 90.00 90.00
Atoms (fractional coordinates):
Ru1 0.2500 0.3168 0.6418
Ru2 0.2500 0.1832 0.1418
Ru3 0.7500 0.6832 0.3582
Ru4 0.7500 0.8168 0.8582
N1 0.2500 0.1571 0.7104
N2 0.2500 0.3429 0.2104
N3 0.7500 0.8429 0.2896
N4 0.7500 0.6571 0.7896
N5 0.2500 0.5048 0.6907
N6 0.2500 0.9952 0.1907
N7 0.7500 0.4952 0.3093
N8 0.7500 0.0048 0.8093
N9 0.9702 0.2957 0.5816
N10 0.5298 0.2043 0.0816
N11 0.4702 0.7043 0.4184
N12 0.0298 0.7957 0.9184
N13 0.0298 0.7043 0.4184
N14 0.4702 0.7957 0.9184
N15 0.5298 0.2957 0.5816
N16 0.9702 0.2043 0.0816
N17 0.2500 0.1518 0.4385
N18 0.2500 0.3482 0.9385
N19 0.7500 0.8482 0.5615
N20 0.7500 0.6518 0.0615
Cl1 0.2500 0.5964 0.4113
Cl2 0.2500 0.9036 0.9113
Cl3 0.7500 0.4036 0.5887
Cl4 0.7500 0.0964 0.0887
Cl5 0.0199 0.3524 0.8808
Cl6 0.4801 0.1476 0.3808
Cl7 0.5199 0.6476 0.1192
Cl8 0.9801 0.8524 0.6192
Cl9 0.9801 0.6476 0.1192
Cl10 0.5199 0.8524 0.6192
Cl11 0.4801 0.3524 0.8808
Cl12 0.0199 0.1476 0.3808

2.
Computed, not measured: a geometry-optimized Rb2O structure at the PBE level of DFT.

Lattice parameters (Å, degrees): 4.7364 7.3036 8.8139 90.00 90.00 90.00
Atoms (fractional coordinates):
Rb1 0.2500 0.0098 0.1542
Rb2 0.2500 0.1350 0.5889
Rb3 0.7500 0.3650 0.0889
Rb4 0.7500 0.4902 0.6542
Rb5 0.2500 0.5098 0.3458
Rb6 0.2500 0.6350 0.9111
Rb7 0.7500 0.8650 0.4111
Rb8 0.7500 0.9902 0.8458
O1 0.7500 0.2580 0.4079
O2 0.2500 0.2420 0.9079
O3 0.7500 0.7580 0.0921
O4 0.2500 0.7420 0.5921

3.
Computed, not measured: a geometry-optimized Na3MgC2ClO6 structure at the PBE level of DFT.

Lattice parameters (Å, degrees): 10.0290 10.0290 10.0290 60.00 60.00 60.00
Atoms (fractional coordinates):
Na1 0.7254 0.7254 0.2746
Na2 0.2746 0.7254 0.7254
Na3 0.7254 0.2746 0.2746
Na4 0.7254 0.2746 0.7254
Na5 0.2746 0.2746 0.7254
Na6 0.9754 0.5246 0.9754
Na7 0.9754 0.5246 0.5246
Na8 0.5246 0.9754 0.9754
Na9 0.5246 0.9754 0.5246
Na10 0.9754 0.9754 0.5246
Na11 0.2746 0.7254 0.2746
Na12 0.5246 0.5246 0.9754
Mg1 0.1250 0.6250 0.1250
Mg2 0.6250 0.1250 0.1250
Mg3 0.1250 0.1250 0.1250
Mg4 0.1250 0.1250 0.6250
C1 0.9084 0.9084 0.2749
C2 0.9084 0.9084 0.9084
C3 0.2749 0.9084 0.9084
C4 0.9084 0.2749 0.9084
C5 0.3416 0.3416 0.9751
C6 0.3416 0.3416 0.3416
C7 0.9751 0.3416 0.3416
C8 0.3416 0.9751 0.3416
Cl1 0.6250 0.1250 0.6250
Cl2 0.1250 0.6250 0.6250
Cl3 0.6250 0.6250 0.6250
Cl4 0.6250 0.6250 0.1250
O1 0.0161 0.9427 0.7643
O2 0.2768 0.7643 0.9427
O3 0.7643 0.9427 0.2768
O4 0.9427 0.0161 0.2768
O5 0.9427 0.7643 0.0161
O6 0.7643 0.0161 0.9427
O7 0.2768 0.9427 0.0161
O8 0.0161 0.7643 0.2768
O9 0.7643 0.2768 0.0161
O10 0.9427 0.2768 0.7643
O11 0.2339 0.4857 0.9732
O12 0.9732 0.3073 0.2339
O13 0.4857 0.2339 0.3073
O14 0.9732 0.2339 0.4857
O15 0.3073 0.4857 0.2339
O16 0.3073 0.2339 0.9732
O17 0.4857 0.3073 0.9732
O18 0.9732 0.4857 0.3073
O19 0.0161 0.2768 0.9427
O20 0.2339 0.3073 0.4857
O21 0.3073 0.9732 0.4857
O22 0.4857 0.9732 0.2339
O23 0.2339 0.9732 0.3073
O24 0.2768 0.0161 0.7643

4.
Computed, not measured: a geometry-optimized Ti2B structure at the PBE level of DFT.

Computed properties:
Total magnetic moment, μB/cell: 0.01

Lattice parameters (Å, degrees): 4.6493 4.6493 4.6493 105.04 105.04 118.75
Atoms (fractional coordinates):
Ti1 0.6644 0.1644 0.8288
Ti2 0.3356 0.8356 0.1712
Ti3 0.8356 0.6644 0.5000
Ti4 0.1644 0.3356 0.5000
B1 0.7500 0.7500 0.0000
B2 0.2500 0.2500 0.0000

Number 1: total DFT energy (no corrections) -178.02 eV for the cell shown, energy relative to the elements 1.13 eV/atom. Number 2: total DFT energy (no corrections) -38.10 eV for the cell shown, energy relative to the elements -1.10 eV/atom. Number 3: total DFT energy (no corrections) -320.13 eV for the cell shown, energy relative to the elements -2.20 eV/atom. Number 4: total DFT energy (no corrections) -47.31 eV for the cell shown, energy relative to the elements -0.39 eV/atom.